Record 1
Al6CO7 | GGA-PBE | optimized geometry

Cell lengths 18.401, 18.401, 18.401 Å; angles 9.53, 9.53, 9.53 degrees
Atoms (fractional coordinates):
Al 0.111 0.111 0.111
O 0.150 0.150 0.150
Al 0.617 0.617 0.617
O 0.349 0.349 0.349
Al 0.399 0.399 0.399
O 0.851 0.851 0.851
Al 0.497 0.497 0.497
Al 0.884 0.884 0.884
O 0.056 0.056 0.056
C 0.434 0.434 0.434
Al 0.004 0.004 0.004
O 0.559 0.559 0.559
O 0.648 0.648 0.648
O 0.940 0.940 0.940

Calculated values
Total DFT energy (no corrections), eV per atom: -7.03

Record 2
LiCaGe2 | GGA-PBE | optimized geometry

Cell lengths 3.941, 8.079, 10.756 Å; angles 90.00, 90.00, 90.00 degrees
Atoms (fractional coordinates):
Li 0.250 0.992 0.389
Li 0.250 0.492 0.111
Ge 0.750 0.773 0.438
Ca 0.750 0.368 0.364
Ge 0.250 0.660 0.321
Ge 0.250 0.727 0.938
Ca 0.250 0.632 0.636
Li 0.750 0.508 0.889
Li 0.750 0.008 0.611
Ge 0.750 0.273 0.062
Ca 0.750 0.868 0.136
Ge 0.750 0.340 0.679
Ge 0.250 0.227 0.562
Ge 0.250 0.160 0.179
Ge 0.750 0.840 0.821
Ca 0.250 0.132 0.864

Calculated values
Total DFT energy (no corrections), eV per atom: -3.80

Record 3
Pr2Cu3Ge3 | GGA-PBE | optimized geometry

Cell lengths 4.298, 4.226, 8.863 Å; angles 90.00, 104.03, 90.00 degrees
Atoms (fractional coordinates):
Pr 0.366 0.000 0.731
Cu 0.004 0.000 0.008
Pr 0.153 0.500 0.306
Cu 0.788 0.500 0.577
Ge 0.514 0.500 0.029
Cu 0.583 0.000 0.166
Ge 0.927 0.500 0.855
Ge 0.724 0.000 0.448

Calculated values
Total DFT energy (no corrections), eV per atom: -4.95

Record 4
CaMg6C | GGA-PBE | optimized geometry

Cell lengths 10.330, 10.330, 3.517 Å; angles 90.00, 90.00, 148.01 degrees
Atoms (fractional coordinates):
Mg 0.195 0.805 0.000
Mg 0.294 0.215 0.500
Mg 0.652 0.811 0.000
Ca 0.788 0.212 0.500
C 0.449 0.551 0.500
Mg 0.189 0.348 0.000
Mg 0.785 0.706 0.500
Mg 0.648 0.352 0.000

Calculated values
Excess energy over the best structure of this formula in the dataset, eV/f.u.: 0.27

Record 5
SnH12C4S2Cl4 | GGA-PBE | optimized geometry

Cell lengths 12.766, 7.250, 9.529 Å; angles 59.04, 90.00, 90.00 degrees
Atoms (fractional coordinates):
H 0.703 0.964 0.993
C 0.135 0.448 0.659
C 0.865 0.552 0.341
H 0.609 0.653 0.888
C 0.365 0.448 0.159
Cl 0.456 0.870 0.317
Cl 0.044 0.870 0.817
C 0.729 0.867 0.122
S 0.340 0.288 0.376
H 0.333 0.247 0.804
H 0.208 0.533 0.599
C 0.635 0.552 0.841
H 0.751 0.972 0.669
C 0.229 0.133 0.378
C 0.271 0.133 0.878
H 0.109 0.347 0.612
H 0.251 0.028 0.831
S 0.660 0.712 0.624
Cl 0.956 0.130 0.183
H 0.926 0.437 0.356
Cl 0.880 0.264 0.792
H 0.167 0.247 0.304
Cl 0.120 0.736 0.208
H 0.749 0.972 0.169
H 0.797 0.964 0.493
H 0.574 0.437 0.856
H 0.708 0.467 0.901
H 0.297 0.036 0.007
Cl 0.620 0.264 0.292
H 0.391 0.347 0.112
H 0.891 0.653 0.388
H 0.292 0.533 0.099
H 0.833 0.753 0.696
H 0.426 0.563 0.144
H 0.792 0.467 0.401
H 0.074 0.563 0.644
S 0.160 0.288 0.876
C 0.771 0.867 0.622
Cl 0.380 0.736 0.708
Sn 0.000 0.000 0.000
Sn 0.500 0.000 0.500
H 0.667 0.753 0.196
Cl 0.544 0.130 0.683
H 0.203 0.036 0.507
H 0.249 0.028 0.331
S 0.840 0.712 0.124

Calculated values
Total DFT energy (no corrections), eV per atom: -4.59

Record 6
Na6MgTi3Si2P4O24 | GGA-PBE | optimized geometry

Cell lengths 8.896, 8.900, 21.887 Å; angles 89.82, 90.35, 120.00 degrees
Atoms (fractional coordinates):
O 0.506 0.153 0.923
O 0.861 0.494 0.421
O 0.645 0.113 0.146
O 0.502 0.661 0.577
O 0.976 0.821 0.092
Na 0.715 0.679 0.413
O 0.819 0.834 0.910
Na 0.329 0.665 0.163
Mg 0.000 0.000 0.353
P 0.374 0.332 0.083
O 0.498 0.862 0.356
O 0.511 0.853 0.078
O 0.213 0.011 0.314
O 0.698 0.160 0.748
O 0.887 0.513 0.146
P 0.705 0.707 0.252
Na 0.645 0.010 0.243
Ti 0.671 0.337 0.979
O 0.997 0.809 0.809
O 0.450 0.309 0.022
Na 0.650 0.300 0.832
O 0.843 0.316 0.249
O 0.173 0.698 0.750
O 0.296 0.466 0.750
Na 0.626 0.617 0.743
O 0.296 0.823 0.252
O 0.976 0.168 0.586
O 0.510 0.375 0.420
O 0.365 0.865 0.855
Na 0.961 0.287 0.410
Ti 0.340 0.668 0.522
Ti 0.338 0.669 0.311
O 0.641 0.495 0.922
O 0.524 0.701 0.253
O 0.168 0.183 0.696
Si 0.667 0.625 0.588
O 0.636 0.153 0.420
Ti 0.330 0.671 0.017
O 0.496 0.119 0.637
O 0.165 0.979 0.910
Si 0.042 0.377 0.916
P 0.339 0.384 0.418
O 0.686 0.523 0.527
O 0.017 0.199 0.194
O 0.532 0.824 0.751
Si 0.622 0.669 0.917
O 0.299 0.827 0.972
O 0.491 0.360 0.137
O 0.171 0.480 0.253
Na 0.651 0.334 0.326
O 0.349 0.493 0.079
Na 0.320 0.665 0.665
O 0.841 0.824 0.587
Mg 0.659 0.328 0.686
Ti 0.335 0.674 0.815
Mg 0.665 0.333 0.184
O 0.144 0.496 0.576
Na 0.990 0.624 0.242
O 0.834 0.534 0.026
Si 0.340 0.961 0.915
Si 0.965 0.630 0.086
O 0.025 0.186 0.911
O 0.157 0.651 0.076
O 0.989 0.191 0.310
Ti 0.997 0.002 0.857
Na 0.966 0.669 0.917
O 0.478 0.149 0.247
O 0.195 0.030 0.588
P 0.007 0.714 0.751
O 0.845 0.532 0.751
O 0.853 0.363 0.924
Na 0.666 0.976 0.588
P 0.294 0.001 0.254
O 0.497 0.635 0.857
O 0.807 0.791 0.310
O 0.826 0.005 0.804
Si 0.624 0.963 0.417
O 0.318 0.473 0.474
O 0.519 0.840 0.476
P 0.286 0.285 0.751
O 0.192 0.188 0.811
O 0.182 0.200 0.414
O 0.012 0.822 0.694
P 0.710 0.995 0.748
O 0.885 0.358 0.645
O 0.344 0.856 0.574
Ti 0.004 0.993 0.644
Na 0.330 0.036 0.412
P 0.375 0.043 0.583
O 0.461 0.152 0.523
O 0.168 0.467 0.975
O 0.639 0.520 0.649
Ti 0.008 0.000 0.147
O 0.685 0.165 0.032
O 0.133 0.502 0.855
O 0.814 0.981 0.416
P 0.005 0.294 0.252
O 0.532 0.693 0.978
O 0.836 0.029 0.086
Na 0.999 0.002 0.000
O 0.025 0.823 0.415
O 0.185 0.170 0.090
O 0.126 0.635 0.357
O 0.837 0.308 0.530
P 0.963 0.337 0.586
O 0.169 0.983 0.199
O 0.682 0.527 0.245
Na 0.996 0.372 0.745
O 0.159 0.676 0.471
O 0.358 0.498 0.360
P 0.045 0.661 0.416
P 0.664 0.041 0.086
Ti 0.669 0.337 0.484
Na 0.027 0.339 0.088
O 0.798 0.978 0.689
Na 0.336 0.302 0.918
O 0.467 0.307 0.750
Na 0.662 0.688 0.082
Na 0.009 0.001 0.500
O 0.800 0.827 0.195

Calculated values
Excess energy over the best structure of this formula in the dataset, eV/f.u.: 0.00

Record 7
Pd3Au | GGA-PBE | optimized geometry

Cell lengths 4.005, 4.005, 4.005 Å; angles 90.00, 90.00, 90.00 degrees
Atoms (fractional coordinates):
Pd 0.500 0.000 0.500
Au 0.000 0.000 0.000
Pd 0.000 0.500 0.500
Pd 0.500 0.500 0.000

Calculated values
Total DFT energy (no corrections), eV per atom: -4.76

Record 8
KH2OsNCl4 | GGA-PBE | optimized geometry

Cell lengths 8.060, 8.060, 7.687 Å; angles 90.00, 90.00, 115.05 degrees
Atoms (fractional coordinates):
Cl 0.850 0.781 0.272
N 0.838 0.162 0.495
Os 0.155 0.845 0.210
Cl 0.545 0.088 0.797
H 0.427 0.573 0.007
Cl 0.455 0.912 0.297
K 0.353 0.647 0.651
Cl 0.219 0.150 0.272
H 0.143 0.857 0.562
Os 0.845 0.155 0.710
Cl 0.781 0.850 0.772
H 0.573 0.427 0.507
Cl 0.088 0.545 0.297
Cl 0.150 0.219 0.772
K 0.647 0.353 0.151
H 0.857 0.143 0.062
N 0.162 0.838 0.995
Cl 0.912 0.455 0.797

Calculated values
Total DFT energy (no corrections), eV per atom: -3.91

In Å³ per cell, the calculated volume values for the records above are, in order, 148, 342, 156, 199, 756, 1501, 64, 452.